! SnBi4Te7 (PBE, optimized geometry); values from VASP
! Energy relative to the elements ... -492 meV per atom
! Theoretical density ... 7247 kg/m³
! Crystal system ... trigonal
&SYSTEM
  ibrav = 0, nat = 12, ntyp = 3
/
ATOMIC_SPECIES
Sn 118.71 Sn.upf
Bi 208.98 Bi.upf
Te 127.60 Te.upf
ATOMIC_POSITIONS crystal
Sn 0.000 0.000 0.000
Bi 0.333 0.667 0.582
Bi 0.333 0.667 0.838
Bi 0.667 0.333 0.162
Bi 0.667 0.333 0.418
Te 0.000 0.000 0.231
Te 0.000 0.000 0.500
Te 0.000 0.000 0.769
Te 0.333 0.667 0.077
Te 0.333 0.667 0.348
Te 0.667 0.333 0.652
Te 0.667 0.333 0.923
CELL_PARAMETERS angstrom
4.461 0.000 0.000
-2.230 3.863 0.000
0.000 0.000 24.572

=====

! Sr3Bi (PBE, optimized geometry); values from VASP
! Energy relative to the elements ... -403 meV per atom
! Theoretical density ... 4741 kg/m³
! Crystal system ... hexagonal
&SYSTEM
  ibrav = 0, nat = 8, ntyp = 2
/
ATOMIC_SPECIES
Sr 87.62 Sr.upf
Bi 208.98 Bi.upf
ATOMIC_POSITIONS crystal
Sr 0.171 0.342 0.250
Sr 0.171 0.829 0.250
Sr 0.342 0.171 0.750
Sr 0.658 0.829 0.250
Sr 0.829 0.171 0.750
Sr 0.829 0.658 0.750
Bi 0.333 0.667 0.750
Bi 0.667 0.333 0.250
CELL_PARAMETERS angstrom
7.786 0.000 0.000
-3.893 6.743 0.000
0.000 0.000 6.296

=====

! Sr11Bi10 (PBE, optimized geometry); values from VASP
! Energy relative to the elements ... -858 meV per atom
! Theoretical density ... 6456 kg/m³
! Crystal system ... tetragonal
&SYSTEM
  ibrav = 0, nat = 42, ntyp = 2
/
ATOMIC_SPECIES
Sr 87.62 Sr.upf
Bi 208.98 Bi.upf
ATOMIC_POSITIONS crystal
Sr 0.059 0.310 0.749
Sr 0.104 0.443 0.339
Sr 0.104 0.765 0.661
Sr 0.161 0.161 0.000
Sr 0.235 0.896 0.339
Sr 0.310 0.059 0.749
Sr 0.310 0.560 0.251
Sr 0.335 0.335 0.669
Sr 0.335 0.665 0.000
Sr 0.440 0.690 0.749
Sr 0.443 0.104 0.339
Sr 0.557 0.896 0.661
Sr 0.560 0.310 0.251
Sr 0.665 0.335 0.000
Sr 0.665 0.665 0.331
Sr 0.690 0.440 0.749
Sr 0.690 0.941 0.251
Sr 0.765 0.104 0.661
Sr 0.839 0.839 0.000
Sr 0.896 0.235 0.339
Sr 0.896 0.557 0.661
Sr 0.941 0.690 0.251
Bi 0.033 0.033 0.413
Bi 0.033 0.620 0.000
Bi 0.128 0.128 0.256
Bi 0.128 0.872 0.000
Bi 0.150 0.500 0.650
Bi 0.250 0.750 0.500
Bi 0.374 0.374 0.000
Bi 0.380 0.380 0.413
Bi 0.380 0.967 0.000
Bi 0.500 0.150 0.650
Bi 0.500 0.850 0.350
Bi 0.620 0.033 0.000
Bi 0.620 0.620 0.587
Bi 0.626 0.626 0.000
Bi 0.750 0.250 0.500
Bi 0.850 0.500 0.350
Bi 0.872 0.128 0.000
Bi 0.872 0.872 0.744
Bi 0.967 0.380 0.000
Bi 0.967 0.967 0.587
CELL_PARAMETERS angstrom
-6.503 6.503 9.286
6.503 -6.503 9.286
6.503 6.503 -9.286

=====

! Sr4Bi11 (PBE, optimized geometry); values from VASP
! Energy relative to the elements ... -221 meV per atom
! Theoretical density ... 7809 kg/m³
! Crystal system ... triclinic
&SYSTEM
  ibrav = 0, nat = 15, ntyp = 2
/
ATOMIC_SPECIES
Sr 87.62 Sr.upf
Bi 208.98 Bi.upf
ATOMIC_POSITIONS crystal
Sr 0.151 0.058 0.293
Sr 0.273 0.090 0.829
Sr 0.727 0.910 0.171
Sr 0.849 0.942 0.707
Bi 0.072 0.670 0.001
Bi 0.114 0.335 0.488
Bi 0.222 0.672 0.635
Bi 0.279 0.735 0.208
Bi 0.491 0.325 0.146
Bi 0.500 0.000 0.500
Bi 0.509 0.675 0.854
Bi 0.721 0.265 0.792
Bi 0.778 0.328 0.365
Bi 0.886 0.665 0.512
Bi 0.928 0.330 0.999
CELL_PARAMETERS angstrom
7.469 0.000 0.000
1.646 9.142 0.000
3.040 4.058 8.250

=====

! Sr2Bi3 (PBE, optimized geometry); values from VASP
! Energy relative to the elements ... -705 meV per atom
! Theoretical density ... 7335 kg/m³
! Crystal system ... orthorhombic
&SYSTEM
  ibrav = 0, nat = 20, ntyp = 2
/
ATOMIC_SPECIES
Sr 87.62 Sr.upf
Bi 208.98 Bi.upf
ATOMIC_POSITIONS crystal
Sr 0.000 0.250 0.250
Sr 0.000 0.750 0.750
Sr 0.250 0.000 0.059
Sr 0.250 0.500 0.441
Sr 0.500 0.250 0.750
Sr 0.500 0.750 0.250
Sr 0.750 0.000 0.941
Sr 0.750 0.500 0.559
Bi 0.070 0.750 0.250
Bi 0.154 0.063 0.578
Bi 0.154 0.437 0.922
Bi 0.346 0.563 0.922
Bi 0.346 0.937 0.578
Bi 0.430 0.250 0.250
Bi 0.570 0.750 0.750
Bi 0.654 0.063 0.422
Bi 0.654 0.437 0.078
Bi 0.846 0.563 0.078
Bi 0.846 0.937 0.422
Bi 0.930 0.250 0.750
CELL_PARAMETERS angstrom
15.725 0.000 0.000
0.000 6.896 0.000
0.000 0.000 6.699

=====

! TbBi (PBE, optimized geometry); values from VASP
! Energy relative to the elements ... -871 meV per atom
! Theoretical density ... 9528 kg/m³
! Crystal system ... cubic
&SYSTEM
  ibrav = 0, nat = 2, ntyp = 2
/
ATOMIC_SPECIES
Tb 158.93 Tb.upf
Bi 208.98 Bi.upf
ATOMIC_POSITIONS crystal
Tb 0.000 0.000 0.000
Bi 0.500 0.500 0.500
CELL_PARAMETERS angstrom
0.000 3.177 3.177
3.177 0.000 3.177
3.177 3.177 0.000

=====

! Bi2Te3 (PBE, optimized geometry); values from VASP
! Energy relative to the elements ... -489 meV per atom
! Theoretical density ... 7469 kg/m³
! Crystal system ... trigonal
&SYSTEM
  ibrav = 0, nat = 5, ntyp = 2
/
ATOMIC_SPECIES
Bi 208.98 Bi.upf
Te 127.60 Te.upf
ATOMIC_POSITIONS crystal
Bi 0.101 0.101 0.101
Bi 0.899 0.899 0.899
Te 0.288 0.288 0.288
Te 0.500 0.500 0.500
Te 0.712 0.712 0.712
CELL_PARAMETERS angstrom
2.225 1.284 10.384
-2.225 1.284 10.384
0.000 -2.569 10.384

=====

! Bi2Te3 (PBE, optimized geometry); values from VASP
! Energy relative to the elements ... 145 meV per atom
! Theoretical density ... 3707 kg/m³
! Crystal system ... monoclinic
&SYSTEM
  ibrav = 0, nat = 5, ntyp = 2
/
ATOMIC_SPECIES
Bi 208.98 Bi.upf
Te 127.60 Te.upf
ATOMIC_POSITIONS crystal
Bi 0.241 0.241 0.498
Bi 0.759 0.759 0.502
Te 0.000 0.000 0.500
Te 0.406 0.406 0.366
Te 0.594 0.594 0.634
CELL_PARAMETERS angstrom
6.794 -2.865 0.000
6.794 2.865 0.000
-4.535 0.000 9.214